Entry 1:
Here is a relaxed structure of Mg3Si4 from the Materials Project database. Energies are from GGA-PBE. Values from VASP.

Values from the calculation:
Crystal system ... triclinic
Symmetry ... P-1 (2)
DFT formation energy ... 3.05 kcal/mol of atoms
Raw total energy ... -51.72 eV per cell

Geometry as Quantum ESPRESSO input:
```
&SYSTEM
  ibrav = 0, nat = 14, ntyp = 2
/
ATOMIC_SPECIES
Mg 24.30 Mg.upf
Si 28.09 Si.upf
CELL_PARAMETERS angstrom
5.136 0.000 0.000
-2.037 6.740 0.000
-0.302 -2.978 7.466
ATOMIC_POSITIONS crystal
Mg 0.304 0.111 0.595
Si 0.371 0.766 0.685
Si 0.193 0.919 0.234
Si 0.629 0.234 0.315
Si 0.745 0.430 0.880
Si 0.759 0.519 0.195
Si 0.255 0.570 0.120
Mg 0.196 0.399 0.381
Si 0.807 0.081 0.766
Mg 0.804 0.601 0.619
Mg 0.704 0.867 0.017
Mg 0.696 0.889 0.405
Mg 0.296 0.133 0.983
Si 0.241 0.481 0.805
```

Entry 2:
Here is a relaxed structure of Mg5Si6 from the Materials Project database. Energies are from GGA-PBE. Values from VASP.

Values from the calculation:
Crystal system ... triclinic
Symmetry ... P-1 (2)
DFT formation energy ... 2.40 kcal/mol of atoms
Raw total energy ... -79.67 eV per cell

Geometry as Quantum ESPRESSO input:
```
&SYSTEM
  ibrav = 0, nat = 22, ntyp = 2
/
ATOMIC_SPECIES
Si 28.09 Si.upf
Mg 24.30 Mg.upf
CELL_PARAMETERS angstrom
-2.155 2.486 -2.807
-4.880 -4.901 -1.080
-8.668 6.265 8.958
ATOMIC_POSITIONS crystal
Si 0.718 0.666 0.039
Si 0.258 0.692 0.952
Mg 0.371 0.808 0.760
Si 0.417 0.357 0.537
Mg 0.629 0.192 0.240
Mg 0.218 0.003 0.096
Mg 0.148 0.510 0.165
Si 0.308 0.179 0.807
Si 0.692 0.821 0.193
Si 0.551 0.566 0.302
Si 0.434 0.899 0.567
Mg 0.890 0.124 0.649
Mg 0.110 0.876 0.351
Mg 0.852 0.490 0.835
Si 0.566 0.101 0.433
Si 0.583 0.643 0.463
Mg 0.962 0.638 0.602
Si 0.742 0.308 0.048
Mg 0.782 0.997 0.904
Si 0.449 0.434 0.698
Mg 0.038 0.362 0.398
Si 0.282 0.334 0.961
```

Entry 3:
Here is a relaxed structure of Mg5Si6 from the Materials Project database. Energies are from GGA-PBE. Values from VASP.

Values from the calculation:
Crystal system ... triclinic
Symmetry ... P1 (1)
DFT formation energy ... 4.01 kcal/mol of atoms
Raw total energy ... -78.13 eV per cell

Geometry as Quantum ESPRESSO input:
```
&SYSTEM
  ibrav = 0, nat = 22, ntyp = 2
/
ATOMIC_SPECIES
Mg 24.30 Mg.upf
Si 28.09 Si.upf
CELL_PARAMETERS angstrom
5.166 0.000 0.000
-0.498 5.674 0.000
-1.470 -2.232 13.521
ATOMIC_POSITIONS crystal
Mg 0.915 0.529 0.991
Mg 0.785 0.975 0.635
Mg 0.237 0.980 0.158
Si 0.503 0.406 0.674
Si 0.323 0.797 0.729
Mg 0.433 0.471 0.098
Si 0.617 0.223 0.820
Mg 0.445 0.565 0.497
Si 0.181 0.039 0.962
Si 0.967 0.483 0.191
Si 0.753 0.858 0.219
Mg 0.845 0.745 0.813
Si 0.382 0.668 0.902
Mg 0.970 0.452 0.597
Si 0.259 0.057 0.560
Mg 0.080 0.195 0.359
Si 0.597 0.308 0.290
Si 0.563 0.049 0.431
Mg 0.708 0.034 0.035
Si 0.120 0.269 0.824
Mg 0.930 0.706 0.405
Si 0.393 0.686 0.307
```

Entry 4:
Here is a relaxed structure of Mg2Si3 from the Materials Project database. Energies are from GGA-PBE. Values from VASP.

Values from the calculation:
Crystal system ... triclinic
Symmetry ... P1 (1)
DFT formation energy ... 3.05 kcal/mol of atoms
Raw total energy ... -76.11 eV per cell

Geometry as Quantum ESPRESSO input:
```
&SYSTEM
  ibrav = 0, nat = 20, ntyp = 2
/
ATOMIC_SPECIES
Si 28.09 Si.upf
Mg 24.30 Mg.upf
CELL_PARAMETERS angstrom
4.083 0.000 0.000
1.870 5.031 0.000
1.771 1.116 17.320
ATOMIC_POSITIONS crystal
Si 0.549 0.183 0.698
Mg 0.213 0.493 0.095
Mg 0.162 0.425 0.300
Mg 0.946 0.314 0.802
Si 0.424 0.810 0.375
Si 0.459 0.170 0.917
Mg 0.172 0.738 0.911
Mg 0.658 0.191 0.450
Si 0.984 0.571 0.447
Si 0.754 0.318 0.196
Si 0.825 0.401 0.975
Mg 0.269 0.733 0.702
Si 0.550 0.850 0.028
Si 0.861 0.994 0.305
Mg 0.021 0.339 0.593
Si 0.928 0.067 0.082
Si 0.746 0.910 0.591
Si 0.657 0.867 0.809
Si 0.357 0.750 0.523
Mg 0.466 0.874 0.199
```

Entry 5:
Here is a relaxed structure of Mg4Si3 from the Materials Project database. Energies are from GGA-PBE. Values from VASP.

Values from the calculation:
Crystal system ... triclinic
Symmetry ... P-1 (2)
DFT formation energy ... 0.88 kcal/mol of atoms
Raw total energy ... -45.25 eV per cell

Geometry as Quantum ESPRESSO input:
```
&SYSTEM
  ibrav = 0, nat = 14, ntyp = 2
/
ATOMIC_SPECIES
Mg 24.30 Mg.upf
Si 28.09 Si.upf
CELL_PARAMETERS angstrom
-3.978 0.588 3.528
-1.184 -6.218 -2.289
7.001 -1.692 4.470
ATOMIC_POSITIONS crystal
Mg 0.060 0.756 0.027
Mg 0.216 0.558 0.689
Mg 0.940 0.244 0.973
Si 0.855 0.189 0.563
Si 0.575 0.859 0.933
Mg 0.670 0.901 0.268
Mg 0.330 0.099 0.732
Mg 0.784 0.442 0.311
Si 0.290 0.558 0.274
Si 0.145 0.811 0.437
Si 0.425 0.141 0.067
Mg 0.300 0.205 0.393
Mg 0.700 0.795 0.607
Si 0.710 0.442 0.726
```

Entry 6:
Here is a relaxed structure of Mg3Si4 from the Materials Project database. Energies are from GGA-PBE. Values from VASP.

Values from the calculation:
Crystal system ... monoclinic
Symmetry ... Pm (6)
DFT formation energy ... 3.48 kcal/mol of atoms
Raw total energy ... -51.46 eV per cell

Geometry as Quantum ESPRESSO input:
```
&SYSTEM
  ibrav = 0, nat = 14, ntyp = 2
/
ATOMIC_SPECIES
Mg 24.30 Mg.upf
Si 28.09 Si.upf
CELL_PARAMETERS angstrom
4.065 0.000 0.000
0.000 7.513 0.000
0.000 2.122 8.635
ATOMIC_POSITIONS crystal
Mg 0.500 0.106 0.971
Mg 0.000 0.659 0.662
Si 0.000 0.025 0.721
Si 0.500 0.494 0.852
Si 0.000 0.118 0.175
Mg 0.500 0.376 0.221
Mg 0.500 0.960 0.468
Si 0.000 0.196 0.435
Mg 0.500 0.323 0.617
Si 0.500 0.837 0.809
Si 0.000 0.521 0.415
Mg 0.000 0.762 0.084
Si 0.500 0.694 0.322
Si 0.000 0.429 0.002
```

Entry 7:
Here is a relaxed structure of Mg2Si3 from the Materials Project database. Energies are from GGA-PBE. Values from VASP.

Values from the calculation:
Crystal system ... monoclinic
Symmetry ... C2/m (12)
DFT formation energy ... 4.19 kcal/mol of atoms
Raw total energy ... -37.56 eV per cell

Geometry as Quantum ESPRESSO input:
```
&SYSTEM
  ibrav = 0, nat = 10, ntyp = 2
/
ATOMIC_SPECIES
Si 28.09 Si.upf
Mg 24.30 Mg.upf
CELL_PARAMETERS angstrom
1.762 8.886 0.000
-1.762 8.886 0.000
0.000 1.525 5.683
ATOMIC_POSITIONS crystal
Si 0.538 0.538 0.149
Si 0.301 0.301 0.367
Si 0.131 0.131 0.939
Si 0.462 0.462 0.851
Mg 0.078 0.078 0.535
Si 0.699 0.699 0.633
Mg 0.300 0.300 0.821
Mg 0.922 0.922 0.465
Si 0.869 0.869 0.061
Mg 0.700 0.700 0.179
```

Entry 8:
Here is a relaxed structure of Mg4Si3 from the Materials Project database. Energies are from GGA-PBE. Values from VASP.

Values from the calculation:
Crystal system ... triclinic
Symmetry ... P1 (1)
DFT formation energy ... 2.42 kcal/mol of atoms
Raw total energy ... -88.62 eV per cell

Geometry as Quantum ESPRESSO input:
```
&SYSTEM
  ibrav = 0, nat = 28, ntyp = 2
/
ATOMIC_SPECIES
Mg 24.30 Mg.upf
Si 28.09 Si.upf
CELL_PARAMETERS angstrom
6.449 0.000 0.000
-1.709 6.888 0.000
-0.450 -0.603 12.498
ATOMIC_POSITIONS crystal
Mg 0.585 0.869 0.422
Si 0.755 0.583 0.339
Si 0.902 0.658 0.012
Si 0.746 0.183 0.087
Mg 0.828 0.227 0.313
Mg 0.378 0.286 0.368
Mg 0.411 0.956 0.207
Si 0.662 0.555 0.531
Si 0.157 0.208 0.167
Mg 0.854 0.872 0.187
Mg 0.540 0.481 0.141
Mg 0.901 0.907 0.638
Si 0.680 0.201 0.550
Si 0.043 0.193 0.501
Si 0.341 0.603 0.834
Mg 0.056 0.315 0.934
Si 0.344 0.113 0.016
Si 0.288 0.709 0.021
Mg 0.096 0.562 0.210
Mg 0.605 0.390 0.899
Mg 0.669 0.902 0.917
Si 0.273 0.545 0.519
Mg 0.405 0.851 0.664
Mg 0.111 0.846 0.417
Mg 0.334 0.275 0.685
Si 0.716 0.164 0.748
Mg 0.121 0.894 0.849
Mg 0.979 0.509 0.690
```

Entry 9:
Here is a relaxed structure of Mg5Si6 from the Materials Project database. Energies are from GGA-PBE. Values from VASP.

Values from the calculation:
Crystal system ... monoclinic
Symmetry ... Cm (8)
DFT formation energy ... 2.34 kcal/mol of atoms
Raw total energy ... -79.73 eV per cell

Geometry as Quantum ESPRESSO input:
```
&SYSTEM
  ibrav = 0, nat = 22, ntyp = 2
/
ATOMIC_SPECIES
Si 28.09 Si.upf
Mg 24.30 Mg.upf
CELL_PARAMETERS angstrom
-0.525 -1.886 -14.400
2.950 0.147 -14.229
3.588 -6.062 -0.811
ATOMIC_POSITIONS crystal
Si 0.256 0.256 0.147
Mg 0.361 0.361 0.042
Mg 0.931 0.931 0.785
Si 0.454 0.454 0.444
Mg 0.567 0.567 0.155
Si 0.219 0.219 0.866
Mg 0.682 0.682 0.179
Mg 0.525 0.525 0.694
Si 0.075 0.075 0.834
Mg 0.298 0.298 0.487
Mg 0.887 0.887 0.361
Si 0.001 0.001 0.065
Si 0.007 0.007 0.418
Si 0.376 0.376 0.652
Si 0.803 0.803 0.204
Mg 0.640 0.640 0.707
Mg 0.809 0.809 0.816
Si 0.135 0.135 0.029
Si 0.199 0.199 0.459
Si 0.733 0.733 0.635
Si 0.451 0.451 0.094
Mg 0.103 0.103 0.431
```

Entry 10:
Here is a relaxed structure of Mg3Si4 from the Materials Project database. Energies are from GGA-PBE. Values from VASP.

Values from the calculation:
Crystal system ... triclinic
Symmetry ... P1 (1)
DFT formation energy ... 3.00 kcal/mol of atoms
Raw total energy ... -51.75 eV per cell

Geometry as Quantum ESPRESSO input:
```
&SYSTEM
  ibrav = 0, nat = 14, ntyp = 2
/
ATOMIC_SPECIES
Si 28.09 Si.upf
Mg 24.30 Mg.upf
CELL_PARAMETERS angstrom
-3.130 1.168 4.088
1.649 -4.685 5.151
5.261 6.121 -1.201
ATOMIC_POSITIONS crystal
Si 0.911 0.537 0.255
Si 0.296 0.399 0.504
Si 0.508 0.932 0.966
Si 0.725 0.331 0.721
Si 0.171 0.776 0.690
Mg 0.917 0.120 0.966
Mg 0.692 0.657 0.599
Mg 0.016 0.682 0.009
Mg 0.578 0.964 0.348
Mg 0.278 0.200 0.745
Si 0.992 0.137 0.339
Si 0.184 0.831 0.417
Mg 0.448 0.359 0.196
Si 0.537 0.575 0.991
```

Entry 11:
Here is a relaxed structure of Mg3Si4 from the Materials Project database. Energies are from GGA-PBE. Values from VASP.

Values from the calculation:
Crystal system ... monoclinic
Symmetry ... Pm (6)
DFT formation energy ... 3.97 kcal/mol of atoms
Raw total energy ... -51.16 eV per cell

Geometry as Quantum ESPRESSO input:
```
&SYSTEM
  ibrav = 0, nat = 14, ntyp = 2
/
ATOMIC_SPECIES
Si 28.09 Si.upf
Mg 24.30 Mg.upf
CELL_PARAMETERS angstrom
-0.941 3.674 -1.228
-5.214 0.097 4.288
4.077 3.657 7.819
ATOMIC_POSITIONS crystal
Si 0.000 0.804 0.573
Si 0.500 0.493 0.138
Mg 0.500 0.080 0.520
Si 0.500 0.253 0.750
Si 0.000 0.660 0.997
Si 0.000 0.429 0.612
Si 0.000 0.852 0.197
Si 0.500 0.101 0.216
Mg 0.000 0.266 0.988
Mg 0.500 0.672 0.400
Mg 0.000 0.349 0.327
Si 0.000 0.957 0.780
Mg 0.500 0.649 0.768
Mg 0.500 0.935 0.981
```

Entry 12:
Here is a relaxed structure of Mg4Si7 from the Materials Project database. Energies are from GGA-PBE. Values from VASP.

Values from the calculation:
Crystal system ... triclinic
Symmetry ... P1 (1)
DFT formation energy ... 3.59 kcal/mol of atoms
Raw total energy ... -86.32 eV per cell

Geometry as Quantum ESPRESSO input:
```
&SYSTEM
  ibrav = 0, nat = 22, ntyp = 2
/
ATOMIC_SPECIES
Si 28.09 Si.upf
Mg 24.30 Mg.upf
CELL_PARAMETERS angstrom
-3.073 2.089 -1.288
1.422 -1.946 -6.583
-8.071 -12.419 -1.038
ATOMIC_POSITIONS crystal
Si 0.276 0.506 0.444
Mg 0.269 0.301 0.927
Si 0.251 0.970 0.185
Mg 0.775 0.504 0.579
Mg 0.275 0.884 0.844
Si 0.776 0.572 0.804
Si 0.771 0.010 0.958
Si 0.276 0.202 0.556
Mg 0.778 0.195 0.428
Si 0.787 0.478 0.205
Mg 0.755 0.228 0.094
Si 0.275 0.044 0.333
Mg 0.776 0.957 0.658
Si 0.285 0.398 0.299
Si 0.271 0.547 0.052
Si 0.748 0.811 0.135
Si 0.774 0.662 0.957
Mg 0.276 0.844 0.509
Si 0.773 0.205 0.799
Si 0.275 0.284 0.703
Mg 0.775 0.753 0.335
Si 0.276 0.645 0.700
```